## P
## MgFe6O6F6 (GGA+U)

Data for an optimized crystal structure of MgFe6O6F6.

## Properties
- Symmetry: Pm, No. 6
- V: 235.4 Å³ per cell

The structure in POSCAR format:
```
MgFe6O6F6
1.0
5.2129 0.0000 0.0000
0.0000 3.0506 0.0000
-0.1319 0.0000 14.8032
Mg Fe O F
1 6 6 6
Direct
0.0000 0.0000 0.0000
0.0608 0.5000 0.8143
0.1004 0.5000 0.5031
0.1676 0.5000 0.1908
0.4737 0.0000 0.9869
0.4806 0.0000 0.6662
0.6618 0.0000 0.3127
0.2212 0.5000 0.9430
0.2310 0.0000 0.7523
0.2518 0.0000 0.1056
0.3694 0.5000 0.5879
0.4632 0.5000 0.2726
0.9567 0.0000 0.2409
0.2436 0.0000 0.4314
0.7184 0.5000 0.7157
0.7597 0.5000 0.0437
0.7758 0.0000 0.8905
0.7973 0.5000 0.4031
0.8984 0.0000 0.5549
```

=====

## Q
## MgFe6O6F6 (GGA+U)

Data for an optimized crystal structure of MgFe6O6F6.

## Properties
- Symmetry: P1, No. 1
- V: 224.4 Å³ per cell

The structure in POSCAR format:
```
MgFe6O6F6
1.0
5.0813 0.0000 0.0000
0.3597 5.7052 0.0000
0.2652 0.9135 7.7404
Mg Fe O F
1 6 6 6
Direct
0.0000 0.0000 0.0000
0.0013 0.0064 0.5067
0.0474 0.3869 0.1734
0.4678 0.1245 0.7868
0.4868 0.4985 0.5009
0.5145 0.8706 0.2110
0.9293 0.6138 0.8319
0.1311 0.3330 0.9356
0.1595 0.0441 0.2465
0.2792 0.1905 0.5709
0.6867 0.8214 0.4188
0.8435 0.6744 0.0772
0.8480 0.9496 0.7595
0.1582 0.6739 0.6037
0.3404 0.5491 0.2504
0.3434 0.8377 0.9550
0.6472 0.4574 0.7465
0.6589 0.1512 0.0725
0.8166 0.3233 0.3931
```

=====

Which of them is most stable, and which least? Most stable: P; least stable: Q.

=====

## P
## MgFe6O6F6 (GGA+U)

Data for an optimized crystal structure of MgFe6O6F6.

## Properties
- Symmetry: P1, No. 1
- V: 243.5 Å³ per cell

The structure in POSCAR format:
```
MgFe6O6F6
1.0
5.1919 0.0000 0.0000
-0.0513 5.3211 0.0000
-0.0159 -0.3447 8.8150
Mg Fe O F
1 6 6 6
Direct
0.0000 0.0000 0.0000
0.0248 0.4497 0.8217
0.4008 0.9306 0.6663
0.5128 0.0721 0.9989
0.5477 0.0480 0.3401
0.8762 0.5454 0.1736
0.8965 0.5695 0.5076
0.1659 0.6539 0.6544
0.2525 0.1198 0.8375
0.6571 0.8445 0.5047
0.7114 0.8698 0.1598
0.7379 0.3584 0.3378
0.8107 0.3281 0.0017
0.1282 0.6622 0.3331
0.1697 0.6781 0.0237
0.2601 0.1357 0.1804
0.2741 0.1385 0.4967
0.7115 0.8512 0.8326
0.7476 0.3428 0.6544
```

=====

## Q
## MgFe6O6F6 (GGA+U)

Data for an optimized crystal structure of MgFe6O6F6.

## Properties
- Symmetry: P2/m, No. 10
- V: 221.9 Å³ per cell

The structure in POSCAR format:
```
MgFe6O6F6
1.0
5.0264 0.0000 0.0000
0.0000 3.0782 0.0000
-0.3177 0.0000 14.3446
Mg Fe O F
1 6 6 6
Direct
0.0000 0.0000 0.0000
0.0000 0.5000 0.5000
0.0970 0.5000 0.1849
0.4581 0.0000 0.6596
0.5000 0.0000 0.0000
0.5419 0.0000 0.3404
0.9030 0.5000 0.8151
0.1790 0.0000 0.5654
0.2499 0.5000 0.0518
0.2688 0.0000 0.2445
0.7312 0.0000 0.7555
0.7501 0.5000 0.9482
0.8210 0.0000 0.4346
0.1738 0.0000 0.8785
0.2616 0.5000 0.7250
0.3429 0.5000 0.4046
0.6571 0.5000 0.5954
0.7384 0.5000 0.2750
0.8262 0.0000 0.1215
```

=====

## R
## MgFe6O6F6 (GGA+U)

Data for an optimized crystal structure of MgFe6O6F6.

## Properties
- Symmetry: P1, No. 1
- V: 228.1 Å³ per cell

The structure in POSCAR format:
```
MgFe6O6F6
1.0
3.1523 0.0000 0.0000
0.0208 5.0618 0.0000
0.2087 1.5505 14.2946
Mg Fe O F
1 6 6 6
Direct
0.0000 0.0000 0.0000
0.4394 0.6792 0.6351
0.4552 0.7033 0.3504
0.4945 0.4835 0.9835
0.9482 0.2203 0.5080
0.9516 0.1126 0.8098
0.9704 0.3240 0.2017
0.4438 0.3670 0.5636
0.4665 0.4831 0.2425
0.4909 0.1782 0.9066
0.9420 0.8660 0.5803
0.9530 0.5325 0.4034
0.9884 0.3097 0.0741
0.4312 0.9382 0.7397
0.4509 0.0354 0.4214
0.4959 0.8105 0.0621
0.9381 0.4817 0.7190
0.9657 0.9542 0.2676
0.9953 0.7166 0.9125
```

=====

Which of them is most stable, and which least? Most stable: R; least stable: Q.